No. 1
VASP calculation (PBE) on crystalline Ca2LaSbO6 at its relaxed geometry.

Values from the calculation:
Energy of formation from the pure elements ... -2832 kJ/mol of formula units
Size of the total moment ... 0.0000 μB per atom
DFT total energy ... -67.998 eV/f.u.
Density ... 4.86 Mg/m³

Structure (POSCAR):
```
Ca2LaSbO6
1.0
-3.538 -3.202 -3.482
4.390 -0.604 -3.906
2.548 -7.131 3.968
Ca La Sb O
4 2 2 12
Direct
0.500 0.000 0.750
0.000 0.500 0.750
0.500 0.000 0.250
0.000 0.500 0.250
0.500 0.500 0.500
0.000 0.000 0.000
0.500 0.500 0.000
0.000 0.000 0.500
0.500 0.500 0.767
0.000 0.000 0.733
0.500 0.500 0.233
0.000 0.000 0.267
0.688 0.141 0.500
0.312 0.859 0.500
0.859 0.688 0.500
0.141 0.312 0.500
0.812 0.641 0.000
0.188 0.359 0.000
0.641 0.188 0.000
0.359 0.812 0.000
```

---

No. 2
VASP calculation (PBE) on crystalline Ca2LaSbO6 at its relaxed geometry.

Values from the calculation:
Energy of formation from the pure elements ... -2942 kJ/mol of formula units
Size of the total moment ... 0.0000 μB per atom
DFT total energy ... -69.137 eV/f.u.
Density ... 5.06 Mg/m³

Structure (POSCAR):
```
Ca2LaSbO6
1.0
5.947 0.000 0.000
0.000 5.776 0.000
0.000 5.705 8.344
Ca La Sb O
4 2 2 12
Direct
0.552 0.764 0.747
0.948 0.764 0.247
0.448 0.236 0.253
0.052 0.236 0.753
0.500 0.500 0.500
0.000 0.500 0.000
0.000 0.000 0.500
0.500 0.000 0.000
0.828 0.224 0.562
0.672 0.224 0.062
0.172 0.776 0.438
0.328 0.776 0.938
0.790 0.905 0.935
0.710 0.905 0.435
0.210 0.095 0.065
0.290 0.095 0.565
0.947 0.654 0.725
0.553 0.654 0.225
0.053 0.346 0.275
0.447 0.346 0.775
```

---

No. 3
VASP calculation (PBE) on crystalline SrCa3La2Sb2O12 at its relaxed geometry.

Values from the calculation:
Energy of formation from the pure elements ... -5974 kJ/mol of formula units
Size of the total moment ... 0.0002 μB per atom
DFT total energy ... -138.884 eV/f.u.
Density ... 5.36 Mg/m³

Structure (POSCAR):
```
SrCa3La2Sb2O12
1.0
5.782 0.009 -0.005
0.009 5.948 0.005
-0.018 0.008 8.300
Sr Ca La Sb O
1 3 2 2 12
Direct
0.488 0.548 0.251
0.991 0.953 0.753
0.001 0.503 0.502
0.501 0.995 0.998
0.512 0.446 0.750
0.014 0.052 0.250
0.499 0.999 0.503
0.000 0.500 0.997
0.168 0.788 0.057
0.670 0.712 0.559
0.822 0.218 0.938
0.318 0.279 0.447
0.611 0.971 0.271
0.111 0.547 0.768
0.390 0.040 0.732
0.909 0.456 0.230
0.215 0.821 0.445
0.715 0.678 0.944
0.782 0.181 0.558
0.281 0.311 0.045
```

---

No. 4
VASP calculation (PBE) on crystalline CaLa2SnO6 at its relaxed geometry.

Values from the calculation:
Energy of formation from the pure elements ... -3134 kJ/mol of formula units
Size of the total moment ... 0.0000 μB per atom
DFT total energy ... -73.938 eV/f.u.
Density ... 5.94 Mg/m³

Structure (POSCAR):
```
CaLa2SnO6
1.0
5.077 -3.000 0.000
5.077 3.000 0.000
3.305 0.000 4.884
Ca La Sn O
1 2 1 6
Direct
0.500 0.500 0.500
0.764 0.764 0.764
0.236 0.236 0.236
0.000 0.000 0.000
0.783 0.345 0.128
0.128 0.783 0.345
0.345 0.128 0.783
0.217 0.655 0.872
0.655 0.872 0.217
0.872 0.217 0.655
```

---

No. 5
VASP calculation (PBE) on crystalline Ca2La4Ti5O18 at its relaxed geometry.

Values from the calculation:
Energy of formation from the pure elements ... -10202 kJ/mol of formula units
Size of the total moment ... 0.0002 μB per atom
DFT total energy ... -245.670 eV/f.u.
Density ... 5.46 Mg/m³

Structure (POSCAR):
```
Ca2La4Ti5O18
1.0
-2.768 -4.794 0.000
2.768 -4.794 0.000
0.000 -3.196 13.334
Ca La Ti O
2 4 5 18
Direct
0.361 0.361 0.917
0.639 0.639 0.083
0.087 0.087 0.739
0.913 0.913 0.261
0.187 0.187 0.438
0.813 0.813 0.562
0.000 0.000 0.000
0.450 0.450 0.651
0.550 0.550 0.349
0.277 0.277 0.169
0.723 0.723 0.831
0.916 0.417 0.250
0.417 0.417 0.250
0.417 0.916 0.250
0.084 0.583 0.750
0.583 0.583 0.750
0.583 0.084 0.750
0.360 0.862 0.916
0.862 0.862 0.916
0.862 0.360 0.916
0.640 0.138 0.084
0.138 0.138 0.084
0.138 0.640 0.084
0.818 0.298 0.587
0.298 0.298 0.587
0.298 0.818 0.587
0.182 0.702 0.413
0.702 0.702 0.413
0.702 0.182 0.413
```

---

No. 6
VASP calculation (PBE) on crystalline CaLa2TiO6 at its relaxed geometry.

Values from the calculation:
Energy of formation from the pure elements ... -3552 kJ/mol of formula units
Size of the total moment ... 0.0000 μB per atom
DFT total energy ... -82.155 eV/f.u.
Density ... 5.54 Mg/m³

Structure (POSCAR):
```
CaLa2TiO6
1.0
-2.298 4.337 2.968
-3.279 3.779 -2.804
-5.654 -0.060 0.967
Ca La Ti O
1 2 1 6
Direct
0.500 0.500 0.500
0.759 0.759 0.759
0.241 0.241 0.241
0.000 0.000 0.000
0.786 0.332 0.130
0.130 0.786 0.332
0.332 0.130 0.786
0.214 0.668 0.870
0.668 0.870 0.214
0.870 0.214 0.668
```

---

- Which value of energy of formation from the pure elements does entry 2 give?
  -2942 kJ/mol of formula units